4
Lattice="-3.134 3.583 1.336 -3.821 -2.863 -1.284 -0.157 -1.846 4.584" Properties=species:S:1:pos:R:3 comment="Pm3Pb r2SCAN relaxed" formation_energy_ev_per_fu=-1.7 pbc="T T T"
Pm -1.989 -2.355 1.650
Pm -3.477 0.360 0.026
Pm -1.646 0.868 2.960
Pb 0.000 0.000 0.000

***

60
Lattice="-3.961 -17.352 -1.019 2.422 -0.132 -7.167 7.772 -1.784 0.158" Properties=species:S:1:pos:R:3 comment="K2Te4O9 r2SCAN relaxed" formation_energy_ev_per_fu=-20.5 pbc="T T T"
K 3.450 -17.053 -7.093
K 5.395 -8.686 -1.183
K 2.783 -2.215 -0.934
K 0.837 -10.582 -6.845
K 4.182 -14.680 -1.765
K 5.897 -5.654 -6.194
K 2.051 -4.587 -6.263
K 0.336 -13.614 -1.834
Te 6.008 -14.646 -5.047
Te 4.182 -5.198 -2.883
Te 0.225 -4.622 -2.981
Te 2.051 -14.070 -5.144
Te 2.266 -17.210 -3.418
Te 6.488 -8.930 -4.882
Te 3.967 -2.058 -4.610
Te -0.255 -10.338 -3.146
Te -0.255 -16.180 -6.819
Te 1.348 -7.693 -1.610
Te 6.488 -3.088 -1.208
Te 4.885 -11.574 -6.417
Te -1.974 -16.143 -3.733
Te 2.991 -8.061 -4.716
Te 8.207 -3.125 -4.295
Te 3.242 -11.207 -3.312
O -1.098 -13.991 -6.528
O 3.061 -6.068 -1.677
O 7.331 -5.276 -1.500
O 3.172 -13.200 -6.350
O 3.137 -15.552 -4.708
O 6.387 -7.213 -3.394
O 3.096 -3.716 -3.320
O -0.154 -12.055 -4.634
O 1.668 -15.909 -2.286
O 7.618 -7.898 -5.877
O 4.565 -3.359 -5.742
O -1.385 -11.370 -2.151
O -0.209 -16.354 -4.923
O 1.278 -7.618 -3.512
O 5.578 -1.329 -1.078
O 6.442 -2.914 -3.104
O 1.366 -15.286 -7.053
O 0.267 -6.218 -1.237
O 4.867 -3.982 -0.974
O 5.966 -13.050 -6.790
O 4.015 -17.433 -2.643
O 4.834 -8.287 -5.632
O 2.218 -1.834 -5.384
O 1.399 -10.981 -2.396
O 2.529 -10.484 -4.868
O 1.351 -1.176 -2.844
O 3.704 -8.784 -3.159
O 4.882 -18.092 -5.184
O 2.766 -13.078 -3.532
O 7.821 -5.029 -4.296
O 3.467 -6.190 -4.495
O -1.588 -14.239 -3.732
O -0.237 -8.888 -1.653
O 0.655 -17.938 -6.950
O 6.470 -10.380 -6.375
O 4.955 -11.650 -4.516

***

6
Lattice="2.635 -4.564 0.000 2.635 4.564 0.000 0.000 0.000 4.026" Properties=species:S:1:pos:R:3 comment="LaZn3Ni2 r2SCAN relaxed" formation_energy_ev_per_fu=-2.1 pbc="T T T"
La 0.000 0.000 0.000
Zn 2.635 0.000 2.013
Zn 1.318 -2.282 2.013
Zn 1.318 2.282 2.013
Ni 2.635 -1.521 0.000
Ni 2.635 1.521 0.000

***

64
Lattice="14.682 0.000 0.000 0.000 14.682 0.000 0.000 0.000 14.682" Properties=species:S:1:pos:R:3 comment="CsSn r2SCAN relaxed" formation_energy_ev_per_fu=-0.8 pbc="T T T"
Cs 9.747 13.719 2.077
Cs 4.892 4.892 4.892
Cs 4.936 13.719 12.605
Cs 9.790 4.892 9.790
Cs 9.418 8.305 12.277
Cs 12.233 12.233 12.233
Cs 12.233 2.449 2.449
Cs 8.305 12.277 9.418
Cs 2.449 12.233 2.449
Cs 9.747 0.964 12.605
Cs 4.936 0.964 2.077
Cs 2.405 9.418 6.377
Cs 2.449 2.449 12.233
Cs 5.264 6.377 12.277
Cs 4.892 9.790 9.790
Cs 9.418 6.377 2.405
Cs 9.790 9.790 4.892
Cs 2.077 4.936 0.964
Cs 0.964 12.605 9.747
Cs 6.377 2.405 9.418
Cs 6.377 12.277 5.264
Cs 12.605 9.747 0.964
Cs 13.719 2.077 9.747
Cs 8.305 2.405 5.264
Cs 13.719 12.605 4.936
Cs 5.264 8.305 2.405
Cs 12.277 9.418 8.305
Cs 0.964 2.077 4.936
Cs 12.277 5.264 6.377
Cs 2.077 9.747 13.719
Cs 2.405 5.264 8.305
Cs 12.605 4.936 13.719
Sn 6.213 9.989 13.708
Sn 1.043 13.639 13.639
Sn 13.554 8.315 12.034
Sn 8.384 6.298 6.298
Sn 1.128 8.315 2.648
Sn 6.298 8.384 6.298
Sn 4.693 0.974 6.213
Sn 2.648 13.554 6.367
Sn 1.043 1.043 1.043
Sn 2.648 1.128 8.315
Sn 13.554 6.367 2.648
Sn 13.708 6.213 9.989
Sn 1.128 6.367 12.034
Sn 8.315 2.648 1.128
Sn 8.384 8.384 8.384
Sn 12.034 1.128 6.367
Sn 8.469 9.989 0.974
Sn 9.989 13.708 6.213
Sn 9.989 0.974 8.469
Sn 6.213 4.693 0.974
Sn 12.034 13.554 8.315
Sn 13.639 1.043 13.639
Sn 8.315 12.034 13.554
Sn 6.298 6.298 8.384
Sn 8.469 4.693 13.708
Sn 6.367 2.648 13.554
Sn 13.708 8.469 4.693
Sn 0.974 6.213 4.693
Sn 4.693 13.708 8.469
Sn 13.639 13.639 1.043
Sn 0.974 8.469 9.989
Sn 6.367 12.034 1.128

***

4
Lattice="3.361 1.555 2.514 -0.053 -0.610 4.434 2.878 -2.852 1.901" Properties=species:S:1:pos:R:3 comment="YbGaRh2 r2SCAN relaxed" formation_energy_ev_per_fu=-3.9 pbc="T T T"
Yb 0.000 0.000 0.000
Ga 3.093 -0.953 4.424
Rh 4.639 -1.430 6.636
Rh 1.546 -0.477 2.212

***

16
Lattice="-0.204 3.726 -2.035 -7.098 1.693 -0.619 -0.042 11.360 16.336" Properties=species:S:1:pos:R:3 comment="BiBr r2SCAN relaxed" formation_energy_ev_per_fu=-1.1 pbc="T T T"
Bi -2.680 14.994 14.380
Bi -4.663 1.784 -0.698
Bi -6.203 10.223 6.017
Bi -2.058 5.106 0.663
Bi -5.285 11.673 13.019
Bi -1.140 6.555 7.666
Bi -5.897 8.784 3.331
Bi -1.447 7.994 10.352
Br -3.520 13.254 11.290
Br -3.850 7.228 4.720
Br -0.161 12.120 13.312
Br -7.182 4.659 0.371
Br -3.494 9.550 8.963
Br -0.624 4.860 4.485
Br -6.720 11.919 9.197
Br -3.823 3.525 2.392

***

12
Lattice="3.584 0.000 0.000 0.000 6.905 0.000 0.000 0.000 8.336" Properties=species:S:1:pos:R:3 comment="ZrNbP r2SCAN relaxed" formation_energy_ev_per_fu=-3.5 pbc="T T T"
Zr 0.896 0.249 2.760
Zr 2.688 3.204 6.928
Zr 0.896 3.701 1.408
Zr 2.688 6.656 5.576
Nb 0.896 4.412 4.664
Nb 2.688 2.493 3.672
Nb 0.896 0.959 7.840
Nb 2.688 5.946 0.496
P 2.688 1.659 1.186
P 0.896 1.794 5.354
P 2.688 5.112 2.982
P 0.896 5.246 7.150

***

52
Lattice="-3.159 3.525 -2.650 -4.065 -3.615 0.038 -7.641 8.809 20.824" Properties=species:S:1:pos:R:3 comment="Bi2W2O9 r2SCAN relaxed" formation_energy_ev_per_fu=-25.9 pbc="T T T"
Bi -8.787 4.768 13.809
Bi -3.679 1.246 3.496
Bi -8.203 8.192 12.575
Bi -7.422 1.347 2.080
Bi -11.185 7.474 14.715
Bi -6.078 3.952 4.402
Bi -7.442 7.373 16.131
Bi -6.662 0.528 5.636
W -4.276 2.121 -0.364
W -9.522 5.311 10.038
W -4.755 -1.419 0.957
W -5.884 5.326 11.367
W -10.589 6.599 18.576
W -5.342 3.409 8.173
W -10.109 10.139 17.254
W -8.981 3.394 6.844
O -10.006 5.473 17.201
O -4.772 3.205 6.404
O -9.992 9.532 15.489
O -7.945 2.671 5.465
O -4.202 0.606 0.626
O -6.617 3.508 12.189
O -2.377 2.644 0.433
O -11.601 4.995 9.731
O -10.663 8.114 17.585
O -8.248 5.212 6.022
O -12.488 6.076 17.778
O -3.263 3.725 8.480
O -4.859 3.247 1.010
O -10.093 5.514 11.808
O -4.873 -0.812 2.722
O -6.920 6.049 12.746
O -2.281 1.939 5.195
O -11.012 5.028 14.362
O -7.415 3.591 2.613
O -9.037 6.900 14.295
O -3.853 3.692 3.849
O -12.583 6.781 13.016
O -5.827 1.820 3.916
O -7.450 5.128 15.598
O -5.430 4.163 9.924
O -4.035 -1.611 -0.799
O -5.861 1.886 -1.149
O -3.189 1.521 -1.814
O -5.326 5.469 7.610
O -13.934 8.259 16.949
O -7.097 3.370 7.849
O -9.004 6.833 19.361
O -9.539 3.251 10.601
O -0.931 0.461 1.263
O -7.768 5.350 10.363
O -9.435 4.557 8.288

***

20
Lattice="3.958 0.000 0.000 0.000 7.010 0.000 0.000 0.000 7.010" Properties=species:S:1:pos:R:3 comment="LuB4 r2SCAN relaxed" formation_energy_ev_per_fu=-3.1 pbc="T T T"
Lu 0.000 2.238 5.743
Lu 0.000 5.743 4.772
Lu 0.000 4.772 1.267
Lu 0.000 1.267 2.238
B 1.979 5.770 6.742
B 1.979 2.898 0.608
B 1.979 3.774 4.745
B 1.979 6.403 2.898
B 1.979 2.265 3.774
B 1.979 0.608 4.113
B 1.979 4.745 3.236
B 1.979 0.269 5.770
B 0.799 0.000 0.000
B 0.799 3.505 3.505
B 3.159 0.000 0.000
B 1.979 6.742 1.240
B 1.979 1.240 0.269
B 1.979 4.113 6.403
B 3.159 3.505 3.505
B 1.979 3.236 2.265

***

6
Lattice="5.483 0.000 0.000 -2.742 4.749 0.000 0.000 0.000 3.649" Properties=species:S:1:pos:R:3 comment="DySi2Rh3 r2SCAN relaxed" formation_energy_ev_per_fu=-6.5 pbc="T T T"
Dy 0.000 0.000 0.000
Si 2.742 1.583 0.000
Si 0.000 3.166 0.000
Rh -1.371 2.374 1.825
Rh 2.742 0.000 1.825
Rh 1.371 2.374 1.825

***

12
Lattice="-1.922 -1.072 3.647 6.044 -2.153 2.552 1.248 6.573 2.589" Properties=species:S:1:pos:R:3 comment="UCoGe r2SCAN relaxed" formation_energy_ev_per_fu=-1.3 pbc="T T T"
U 3.569 3.782 4.235
U 1.801 -0.433 4.553
U 0.466 4.430 2.791
U 4.904 -1.081 5.997
Co 1.030 4.775 5.676
Co 1.744 1.890 2.718
Co 3.626 1.459 6.070
Co 4.340 -1.426 3.111
Ge 0.846 -0.124 1.653
Ge 1.098 2.417 5.019
Ge 4.273 0.931 3.768
Ge 4.524 3.473 7.135

***

12
Lattice="-0.215 -0.680 3.180 2.900 0.653 -1.336 -1.969 15.021 3.084" Properties=species:S:1:pos:R:3 comment="MgO r2SCAN relaxed" formation_energy_ev_per_fu=-5.7 pbc="T T T"
Mg 1.169 5.497 1.254
Mg 1.821 0.521 0.234
Mg 2.318 2.771 2.419
Mg -1.231 7.101 4.772
Mg 1.217 13.459 1.299
Mg -0.528 10.070 3.791
O 1.570 2.438 0.627
O 0.921 7.414 1.644
O 0.966 15.398 1.693
O -0.833 4.037 4.148
O -1.489 9.037 5.175
O -0.783 11.989 4.190

***

4
Lattice="3.978 -2.130 2.697 -0.309 -0.444 5.229 -0.560 -4.738 2.208" Properties=species:S:1:pos:R:3 comment="AcYbZn2 r2SCAN relaxed" formation_energy_ev_per_fu=-1.0 pbc="T T T"
Ac 1.554 -3.656 5.067
Yb 0.000 0.000 0.000
Zn 0.777 -1.828 2.534
Zn 2.332 -5.484 7.601

***

5
Lattice="3.935 0.000 -1.451 -0.535 3.899 -1.451 0.006 0.007 6.077" Properties=species:S:1:pos:R:3 comment="LaGe2Rh2 r2SCAN relaxed" formation_energy_ev_per_fu=-4.9 pbc="T T T"
La 0.000 0.000 0.000
Ge 2.136 2.450 -0.268
Ge 1.270 1.456 3.442
Rh 0.585 2.927 1.587
Rh 2.821 0.978 1.587

***

8
Lattice="-4.123 1.918 0.280 -0.443 -1.573 4.253 1.887 3.822 1.610" Properties=species:S:1:pos:R:3 comment="Cr3Ga r2SCAN relaxed" formation_energy_ev_per_fu=0.6 pbc="T T T"
Cr -0.087 2.390 0.875
Cr -2.149 3.349 1.015
Cr 0.250 0.169 2.529
Cr 1.194 2.080 3.334
Cr -2.394 -0.221 3.330
Cr -2.172 0.566 1.203
Ga 0.000 0.000 0.000
Ga -1.340 2.083 3.071

***

16
Lattice="5.570 0.000 0.000 0.000 7.069 0.000 0.000 0.000 7.405" Properties=species:S:1:pos:R:3 comment="YGaPd2 r2SCAN relaxed" formation_energy_ev_per_fu=-3.7 pbc="T T T"
Y 1.985 5.302 0.228
Y 0.800 5.302 3.931
Y 3.585 1.767 7.177
Y 4.770 1.767 3.475
Ga 3.584 5.302 2.839
Ga 4.772 5.302 6.542
Ga 1.986 1.767 4.566
Ga 0.799 1.767 0.864
Pd 5.070 3.900 1.344
Pd 3.286 6.704 5.047
Pd 0.500 0.365 6.061
Pd 2.285 3.169 2.358
Pd 0.500 3.169 6.061
Pd 2.285 0.365 2.358
Pd 5.070 6.704 1.344
Pd 3.286 3.900 5.047